(one)
## Li9Mn2Co5O16 (GGA+U)

Data for a relaxed Li9Mn2Co5O16 crystal.

CIF file:
```
data_Li9Mn2Co5O16
_symmetry_space_group_name_H-M 'C 1 m 1'
_symmetry_Int_Tables_number 8
_cell_length_a 21.4125
_cell_length_b 2.9087
_cell_length_c 9.8545
_cell_angle_alpha 90.00
_cell_angle_beta 107.89
_cell_angle_gamma 90.00
loop_
_symmetry_equiv_pos_as_xyz
'x,y,z'
'x,-y,z'
'x+1/2,y+1/2,z'
'x+1/2,-y+1/2,z'
loop_
_atom_site_label
_atom_site_fract_x
_atom_site_fract_y
_atom_site_fract_z
Li1 0.0000 0.0000 0.0000
Li2 0.0014 0.5000 0.4804
Li3 0.1243 0.5000 0.1209
Li4 0.1336 0.0000 0.6071
Li5 0.1854 0.5000 0.4261
Li6 0.2471 0.0000 0.2465
Li7 0.2480 0.5000 0.7369
Li8 0.3699 0.5000 0.3608
Li9 0.3731 0.0000 0.8664
Mn1 0.0632 0.5000 0.8013
Mn2 0.4332 0.5000 0.6743
Co1 0.0693 0.0000 0.3045
Co2 0.1901 0.0000 0.9272
Co3 0.2995 0.0000 0.5453
Co4 0.3140 0.5000 0.0579
Co5 0.4399 0.0000 0.1787
O1 0.0258 0.0000 0.6620
O2 0.0302 0.5000 0.1529
O3 0.0902 0.5000 0.4470
O4 0.0916 0.0000 0.9404
O5 0.1460 0.0000 0.2697
O6 0.1595 0.5000 0.7792
O7 0.2188 0.5000 0.0754
O8 0.2246 0.0000 0.5874
O9 0.2828 0.5000 0.4053
O10 0.2838 0.0000 0.9131
O11 0.3456 0.0000 0.2018
O12 0.3474 0.5000 0.6932
O13 0.4074 0.5000 0.0337
O14 0.4101 0.0000 0.5375
O15 0.4603 0.0000 0.8126
O16 0.4729 0.5000 0.3215
```



(two)
## Li9Mn2Co5O16 (GGA+U)

Data for a relaxed Li9Mn2Co5O16 crystal.

CIF file:
```
data_Li9Mn2Co5O16
_symmetry_space_group_name_H-M 'P 1'
_symmetry_Int_Tables_number 1
_cell_length_a 5.1439
_cell_length_b 7.6752
_cell_length_c 7.7676
_cell_angle_alpha 97.78
_cell_angle_beta 102.15
_cell_angle_gamma 102.97
loop_
_symmetry_equiv_pos_as_xyz
'x,y,z'
loop_
_atom_site_label
_atom_site_fract_x
_atom_site_fract_y
_atom_site_fract_z
Li1 0.0000 0.0000 0.0000
Li2 0.0005 0.3769 0.1172
Li3 0.0015 0.8734 0.6176
Li4 0.0027 0.1268 0.3654
Li5 0.0065 0.4949 0.4932
Li6 0.0126 0.2568 0.7536
Li7 0.5022 0.4981 0.9921
Li8 0.9947 0.7443 0.2364
Li9 0.9968 0.6166 0.8779
Mn1 0.5004 0.0004 0.4923
Mn2 0.5017 0.7465 0.7472
Co1 0.4955 0.2526 0.2335
Co2 0.4982 0.3748 0.6246
Co3 0.5044 0.6148 0.3585
Co4 0.5043 0.8678 0.1194
Co5 0.5068 0.1261 0.8725
O1 0.2667 0.6394 0.1274
O2 0.2676 0.3767 0.3725
O3 0.2686 0.5136 0.7394
O4 0.2724 0.1216 0.6119
O5 0.2732 0.2360 0.0011
O6 0.2758 0.0005 0.2603
O7 0.2859 0.7597 0.5054
O8 0.2871 0.8820 0.8668
O9 0.7193 0.9915 0.7301
O10 0.7233 0.2375 0.4901
O11 0.7248 0.6255 0.6276
O12 0.7271 0.8779 0.3738
O13 0.7287 0.3542 0.8614
O14 0.7330 0.7544 0.9769
O15 0.7365 0.1159 0.1205
O16 0.7424 0.5027 0.2616
```



(three)
## Li9Mn2Co5O16 (GGA+U)

Data for a relaxed Li9Mn2Co5O16 crystal.

CIF file:
```
data_Li9Mn2Co5O16
_symmetry_space_group_name_H-M 'P -1'
_symmetry_Int_Tables_number 2
_cell_length_a 5.1770
_cell_length_b 5.8888
_cell_length_c 10.2769
_cell_angle_alpha 104.20
_cell_angle_beta 95.30
_cell_angle_gamma 109.18
loop_
_symmetry_equiv_pos_as_xyz
'x,y,z'
'-x,-y,-z'
loop_
_atom_site_label
_atom_site_fract_x
_atom_site_fract_y
_atom_site_fract_z
Li1 0.0000 0.0000 0.0000
Li2 0.4943 0.4249 0.1189
Li3 0.4983 0.3161 0.3736
Li4 0.4998 0.0605 0.8805
Li5 0.5005 0.1897 0.6239
Mn1 0.0001 0.1250 0.7546
Co1 0.0000 0.5000 0.0000
Co2 0.0022 0.2480 0.4996
Co3 0.0058 0.3717 0.2473
O1 0.2100 0.9068 0.6874
O2 0.2150 0.6615 0.1896
O3 0.2174 0.7487 0.9278
O4 0.2225 0.5085 0.4314
O5 0.2275 0.3862 0.6789
O6 0.2298 0.0071 0.4328
O7 0.2388 0.2727 0.9250
O8 0.2410 0.1423 0.1932
```



Going by the energies, (two) is most stable and the next is 2.5 kJ/mol of atoms up.



(one)
## Li9Mn2Co5O16 (GGA+U)

Data for a relaxed Li9Mn2Co5O16 crystal.

CIF file:
```
data_Li9Mn2Co5O16
_symmetry_space_group_name_H-M 'C 1 m 1'
_symmetry_Int_Tables_number 8
_cell_length_a 9.8432
_cell_length_b 2.8759
_cell_length_c 20.7350
_cell_angle_alpha 90.00
_cell_angle_beta 98.57
_cell_angle_gamma 90.00
loop_
_symmetry_equiv_pos_as_xyz
'x,y,z'
'x,-y,z'
'x+1/2,y+1/2,z'
'x+1/2,-y+1/2,z'
loop_
_atom_site_label
_atom_site_fract_x
_atom_site_fract_y
_atom_site_fract_z
Li1 0.0000 0.0000 0.0000
Li2 0.9997 0.5000 0.1299
Li3 0.0045 0.5000 0.3799
Li4 0.0058 0.0000 0.4992
Li5 0.0104 0.0000 0.2497
Li6 0.0097 0.5000 0.6331
Li7 0.0103 0.5000 0.8863
Li8 0.0160 0.0000 0.7566
Li9 0.2599 0.0000 0.9404
Mn1 0.2577 0.5000 0.5668
Mn2 0.2648 0.5000 0.8230
Co1 0.2450 0.5000 0.0565
Co2 0.2554 0.0000 0.4387
Co3 0.2574 0.5000 0.3149
Co4 0.2592 0.0000 0.1898
Co5 0.2660 0.0000 0.6953
O1 0.1328 0.5000 0.9792
O2 0.1359 0.5000 0.4684
O3 0.1394 0.5000 0.2196
O4 0.1481 0.0000 0.5998
O5 0.1491 0.0000 0.3449
O6 0.1502 0.0000 0.8451
O7 0.1518 0.0000 0.0967
O8 0.1528 0.5000 0.7280
O9 0.3644 0.0000 0.0393
O10 0.3661 0.0000 0.2860
O11 0.3688 0.0000 0.5361
O12 0.3723 0.0000 0.7890
O13 0.3749 0.5000 0.9026
O14 0.3760 0.5000 0.4110
O15 0.3766 0.5000 0.1621
O16 0.3821 0.5000 0.6667
```



(two)
## Li9Mn2Co5O16 (GGA+U)

Data for a relaxed Li9Mn2Co5O16 crystal.

CIF file:
```
data_Li9Mn2Co5O16
_symmetry_space_group_name_H-M 'P 1'
_symmetry_Int_Tables_number 1
_cell_length_a 5.9157
_cell_length_b 6.4558
_cell_length_c 7.8879
_cell_angle_alpha 88.96
_cell_angle_beta 76.01
_cell_angle_gamma 75.23
loop_
_symmetry_equiv_pos_as_xyz
'x,y,z'
loop_
_atom_site_label
_atom_site_fract_x
_atom_site_fract_y
_atom_site_fract_z
Li1 0.0000 0.0000 0.0000
Li2 0.0029 0.4877 0.4985
Li3 0.1281 0.8689 0.6239
Li4 0.2469 0.7370 0.2600
Li5 0.3708 0.6162 0.8721
Li6 0.4909 0.4877 0.4955
Li7 0.6216 0.3624 0.1303
Li8 0.7549 0.2442 0.7426
Li9 0.8772 0.1246 0.3792
Mn1 0.7474 0.7435 0.2548
Mn2 0.8762 0.6176 0.8715
Co1 0.1287 0.3693 0.1320
Co2 0.2429 0.2418 0.7442
Co3 0.3695 0.1223 0.3765
Co4 0.4971 0.9952 0.0015
Co5 0.6234 0.8697 0.6265
O1 0.0403 0.6698 0.0612
O2 0.0823 0.1737 0.5527
O3 0.1775 0.5483 0.7030
O4 0.1966 0.0642 0.1720
O5 0.3126 0.4126 0.3135
O6 0.3280 0.9410 0.8043
O7 0.4185 0.2930 0.9518
O8 0.4471 0.8110 0.4270
O9 0.5500 0.1704 0.5776
O10 0.5821 0.6957 0.0670
O11 0.6722 0.0432 0.1982
O12 0.6995 0.5803 0.7054
O13 0.8049 0.9208 0.8272
O14 0.8219 0.4416 0.2953
O15 0.9019 0.8031 0.4283
O16 0.9425 0.3185 0.9210
```



Going by the energies, (one) is most stable and the next is 5.7 kJ/mol of atoms up.



(one)
## MgFe8O14F2 (GGA+U)

Data for a relaxed MgFe8O14F2 crystal.

CIF file:
```
data_MgFe8O14F2
_symmetry_space_group_name_H-M 'P 1'
_symmetry_Int_Tables_number 1
_cell_length_a 5.9198
_cell_length_b 7.3093
_cell_length_c 7.6312
_cell_angle_alpha 85.20
_cell_angle_beta 71.56
_cell_angle_gamma 68.80
loop_
_symmetry_equiv_pos_as_xyz
'x,y,z'
loop_
_atom_site_label
_atom_site_fract_x
_atom_site_fract_y
_atom_site_fract_z
Mg1 0.0000 0.0000 0.0000
Fe1 0.0274 0.5001 0.4607
Fe2 0.2522 0.7266 0.7157
Fe3 0.2871 0.2432 0.7036
Fe4 0.4708 0.4971 0.0001
Fe5 0.5574 0.9669 0.9252
Fe6 0.6431 0.7519 0.2851
Fe7 0.7016 0.2856 0.2724
Fe8 0.9697 0.0033 0.4914
O1 0.0203 0.0841 0.2373
O2 0.0885 0.2351 0.5508
O3 0.1526 0.5164 0.6603
O4 0.1582 0.6963 0.9773
O5 0.3195 0.8216 0.4699
O6 0.3215 0.9818 0.7934
O7 0.3704 0.4398 0.2687
O8 0.4062 0.2616 0.9021
O9 0.5630 0.7294 0.0586
O10 0.6183 0.1871 0.5109
O11 0.7959 0.3020 0.0148
O12 0.8253 0.4825 0.3215
O13 0.8784 0.7717 0.4252
O14 0.8968 0.9357 0.7651
F1 0.6013 0.5594 0.7215
F2 0.6422 0.0112 0.1618
```



(two)
## MgFe8O14F2 (GGA+U)

Data for a relaxed MgFe8O14F2 crystal.

CIF file:
```
data_MgFe8O14F2
_symmetry_space_group_name_H-M 'P 1'
_symmetry_Int_Tables_number 1
_cell_length_a 4.8536
_cell_length_b 4.8555
_cell_length_c 11.8392
_cell_angle_alpha 89.14
_cell_angle_beta 89.86
_cell_angle_gamma 89.95
loop_
_symmetry_equiv_pos_as_xyz
'x,y,z'
loop_
_atom_site_label
_atom_site_fract_x
_atom_site_fract_y
_atom_site_fract_z
Mg1 0.0000 0.0000 0.0000
Fe1 0.0136 0.4987 0.5607
Fe2 0.0168 0.5064 0.3200
Fe3 0.0228 0.4980 0.0635
Fe4 0.4833 0.9682 0.1902
Fe5 0.5069 0.9880 0.9303
Fe6 0.5127 0.9977 0.4338
Fe7 0.5188 0.9930 0.6743
Fe8 0.9757 0.5236 0.8046
O1 0.1826 0.6862 0.1892
O2 0.1929 0.7019 0.9314
O3 0.1948 0.6871 0.6796
O4 0.2037 0.6838 0.4425
O5 0.3088 0.1861 0.0613
O6 0.3221 0.1823 0.3145
O7 0.3305 0.1824 0.5553
O8 0.6938 0.8035 0.3151
O9 0.6948 0.8252 0.8045
O10 0.6965 0.7990 0.0619
O11 0.7033 0.8129 0.5519
O12 0.8117 0.3074 0.9346
O13 0.8159 0.3163 0.6796
O14 0.8319 0.3133 0.4395
F1 0.3005 0.1952 0.8072
F2 0.8168 0.2867 0.1866
```



Going by the energies, (one) is most stable and the next is 5.1 kJ/mol of atoms up.



(one)
## LaFe5Bi4O15 (GGA+U)

Data for a relaxed LaFe5Bi4O15 crystal.

CIF file:
```
data_LaFe5Bi4O15
_symmetry_space_group_name_H-M 'P 1'
_symmetry_Int_Tables_number 1
_cell_length_a 5.6343
_cell_length_b 5.7054
_cell_length_c 23.2572
_cell_angle_alpha 83.40
_cell_angle_beta 89.95
_cell_angle_gamma 60.43
loop_
_symmetry_equiv_pos_as_xyz
'x,y,z'
loop_
_atom_site_label
_atom_site_fract_x
_atom_site_fract_y
_atom_site_fract_z
La1 0.0000 0.0000 0.0000
La2 0.3987 0.2017 0.1989
Fe1 0.0352 0.9299 0.1472
Fe2 0.1327 0.7350 0.4464
Fe3 0.2322 0.5354 0.7461
Fe4 0.3259 0.3480 0.0456
Fe5 0.4333 0.1312 0.3461
Fe6 0.5326 0.9351 0.6462
Fe7 0.6340 0.7337 0.9470
Fe8 0.7265 0.5480 0.2467
Fe9 0.8323 0.3351 0.5462
Fe10 0.9320 0.1350 0.8456
Bi1 0.1249 0.7562 0.3024
Bi2 0.2221 0.5548 0.6017
Bi3 0.3180 0.3588 0.9019
Bi4 0.5230 0.9551 0.5017
Bi5 0.6234 0.7540 0.8020
Bi6 0.7195 0.5600 0.1027
Bi7 0.8222 0.3552 0.4015
Bi8 0.9232 0.1551 0.7015
O1 0.0173 0.5517 0.9793
O2 0.0298 0.3949 0.3093
O3 0.0734 0.4012 0.8097
O4 0.0914 0.6664 0.0922
O5 0.1173 0.1668 0.0801
O6 0.1356 0.8800 0.7893
O7 0.2152 0.1716 0.5799
O8 0.2221 0.0033 0.9103
O9 0.2740 0.0006 0.4104
O10 0.2844 0.2803 0.6896
O11 0.3128 0.7716 0.6798
O12 0.3352 0.4796 0.3896
O13 0.4180 0.7522 0.1795
O14 0.4247 0.6006 0.5101
O15 0.4872 0.8730 0.2911
O16 0.4900 0.5831 0.0092
O17 0.5123 0.3692 0.2792
O18 0.5354 0.0781 0.9894
O19 0.6150 0.3723 0.7798
O20 0.6281 0.1968 0.1093
O21 0.6745 0.2005 0.6100
O22 0.6872 0.4757 0.8902
O23 0.7179 0.9699 0.8808
O24 0.7352 0.6802 0.5896
O25 0.8156 0.9721 0.3801
O26 0.8238 0.8009 0.7102
O27 0.8839 0.0810 0.4895
O28 0.8905 0.7825 0.2099
O29 0.9129 0.5716 0.4799
O30 0.9341 0.2780 0.1895
```



(two)
## LaFe5Bi4O15 (GGA+U)

Data for a relaxed LaFe5Bi4O15 crystal.

CIF file:
```
data_LaFe5Bi4O15
_symmetry_space_group_name_H-M 'P 1'
_symmetry_Int_Tables_number 1
_cell_length_a 5.6343
_cell_length_b 5.7054
_cell_length_c 23.2572
_cell_angle_alpha 83.40
_cell_angle_beta 89.95
_cell_angle_gamma 60.43
loop_
_symmetry_equiv_pos_as_xyz
'x,y,z'
loop_
_atom_site_label
_atom_site_fract_x
_atom_site_fract_y
_atom_site_fract_z
La1 0.0000 0.0000 0.0000
La2 0.3987 0.4006 0.1989
Fe1 0.0352 0.0771 0.1472
Fe2 0.1327 0.1814 0.4464
Fe3 0.2322 0.2815 0.7461
Fe4 0.3259 0.3936 0.0456
Fe5 0.4333 0.4773 0.3461
Fe6 0.5326 0.5812 0.6462
Fe7 0.6340 0.6807 0.9470
Fe8 0.7265 0.7947 0.2467
Fe9 0.8323 0.8813 0.5462
Fe10 0.9320 0.9807 0.8456
Bi1 0.1249 0.0585 0.3024
Bi2 0.2221 0.1564 0.6017
Bi3 0.3180 0.2607 0.9019
Bi4 0.5230 0.4567 0.5017
Bi5 0.6234 0.5560 0.8020
Bi6 0.7195 0.6627 0.1027
Bi7 0.8222 0.7567 0.4015
Bi8 0.9232 0.8566 0.7015
O1 0.0173 0.5309 0.9793
O2 0.0298 0.7042 0.3093
O3 0.0734 0.2109 0.8097
O4 0.0914 0.7586 0.0922
O5 0.1173 0.2468 0.0801
O6 0.1356 0.6693 0.7893
O7 0.2152 0.7515 0.5799
O8 0.2221 0.9136 0.9103
O9 0.2739 0.4110 0.4104
O10 0.2844 0.9698 0.6896
O11 0.3128 0.4513 0.6798
O12 0.3352 0.8692 0.3896
O13 0.4180 0.9317 0.1795
O14 0.4247 0.1107 0.5101
O15 0.4872 0.1641 0.2911
O16 0.4900 0.5923 0.0092
O17 0.5123 0.6484 0.2792
O18 0.5354 0.0675 0.9894
O19 0.6150 0.1520 0.7798
O20 0.6281 0.3061 0.1093
O21 0.6745 0.8105 0.6100
O22 0.6872 0.3659 0.8902
O23 0.7179 0.8507 0.8808
O24 0.7352 0.2698 0.5896
O25 0.8156 0.3522 0.3801
O26 0.8238 0.5111 0.7102
O27 0.8839 0.5705 0.4895
O28 0.8905 0.9925 0.2099
O29 0.9129 0.0515 0.4799
O30 0.9341 0.4675 0.1895
```



Going by the energies, (one) is most stable and the next is 44.9 kJ/mol of atoms up.



(one)
## MgFe2O2F2 (GGA+U)

Data for a relaxed MgFe2O2F2 crystal.

CIF file:
```
data_MgFe2O2F2
_symmetry_space_group_name_H-M 'P 1 m 1'
_symmetry_Int_Tables_number 6
_cell_length_a 5.2236
_cell_length_b 3.2273
_cell_length_c 5.8054
_cell_angle_alpha 90.00
_cell_angle_beta 95.76
_cell_angle_gamma 90.00
loop_
_symmetry_equiv_pos_as_xyz
'x,y,z'
'x,-y,z'
loop_
_atom_site_label
_atom_site_fract_x
_atom_site_fract_y
_atom_site_fract_z
Mg1 0.0000 0.0000 0.0000
Fe1 0.4187 0.0000 0.7055
Fe2 0.8891 0.5000 0.5155
O1 0.1122 0.5000 0.8380
O2 0.5359 0.5000 0.5506
F1 0.0561 0.0000 0.3448
F2 0.6390 0.0000 0.0209
```



(two)
## MgFe2O2F2 (GGA+U)

Data for a relaxed MgFe2O2F2 crystal.

CIF file:
```
data_MgFe2O2F2
_symmetry_space_group_name_H-M 'P 1 m 1'
_symmetry_Int_Tables_number 6
_cell_length_a 5.4082
_cell_length_b 3.0914
_cell_length_c 5.5387
_cell_angle_alpha 90.00
_cell_angle_beta 101.22
_cell_angle_gamma 90.00
loop_
_symmetry_equiv_pos_as_xyz
'x,y,z'
'x,-y,z'
loop_
_atom_site_label
_atom_site_fract_x
_atom_site_fract_y
_atom_site_fract_z
Mg1 0.0000 0.0000 0.0000
Fe1 0.1836 0.5000 0.5139
Fe2 0.4881 0.0000 0.0550
O1 0.2196 0.0000 0.7420
O2 0.2545 0.5000 0.1760
F1 0.7481 0.5000 0.8866
F2 0.8284 0.0000 0.2923
```



Going by the energies, (two) is most stable and the next is 12.9 kJ/mol of atoms up.